*A*
Below is ThTi2O6 after structural relaxation, with properties calculated at the PBE level.

Lattice parameters (Å, degrees): 10.891 8.646 5.236 90.00 114.90 90.00
Space group C2/c (No. 15)
Unique sites:
Th 0.000 0.189 0.250 (multiplicity 4)
Ti 0.230 0.418 0.940 (multiplicity 8)
O 0.136 0.042 0.651 (multiplicity 8)
O 0.139 0.410 0.533 (multiplicity 8)
O 0.141 0.258 0.034 (multiplicity 8)

---

*B*
Below is ThTi2O6 after structural relaxation, with properties calculated at the PBE level.

Lattice parameters (Å, degrees): 9.964 3.847 7.094 90.00 119.30 90.00
Space group C2/m (No. 12)
Unique sites:
Th 0.000 0.000 0.000 (multiplicity 2)
Ti 0.177 0.000 0.607 (multiplicity 4)
O 0.025 0.000 0.690 (multiplicity 4)
O 0.154 0.500 0.109 (multiplicity 4)
O 0.222 0.500 0.596 (multiplicity 4)

---

Verdict on stability: *A* comes out at the bottom.

---

*A*
Below is Ti2O after structural relaxation, with properties calculated at the PBE level.

Lattice parameters (Å, degrees): 2.9828 2.9828 4.8035 90.00 90.00 120.00
Space group P-3m1 (No. 164)
Unique sites:
Ti 0.3333 0.6667 0.2670 (multiplicity 2)
O 0.0000 0.0000 0.0000 (multiplicity 1)

---

*B*
Below is Ti2O after structural relaxation, with properties calculated at the PBE level.

Lattice parameters (Å, degrees): 10.984 11.079 11.552 89.71 85.32 84.16
Space group P1 (No. 1)
Unique sites:
Ti 0.000 0.000 0.000 (multiplicity 1)
Ti 0.001 0.439 0.190 (multiplicity 1)
Ti 0.017 0.941 0.266 (multiplicity 1)
Ti 0.089 0.091 0.501 (multiplicity 1)
Ti 0.107 0.350 0.947 (multiplicity 1)
Ti 0.114 0.602 0.042 (multiplicity 1)
Ti 0.123 0.346 0.400 (multiplicity 1)
Ti 0.127 0.546 0.786 (multiplicity 1)
Ti 0.136 0.077 0.780 (multiplicity 1)
Ti 0.150 0.813 0.448 (multiplicity 1)
Ti 0.177 0.568 0.533 (multiplicity 1)
Ti 0.180 0.101 0.112 (multiplicity 1)
Ti 0.186 0.833 0.101 (multiplicity 1)
Ti 0.189 0.859 0.673 (multiplicity 1)
Ti 0.190 0.302 0.669 (multiplicity 1)
Ti 0.216 0.527 0.274 (multiplicity 1)
Ti 0.246 0.324 0.150 (multiplicity 1)
Ti 0.273 0.991 0.318 (multiplicity 1)
Ti 0.301 0.167 0.890 (multiplicity 1)
Ti 0.302 0.710 0.860 (multiplicity 1)
Ti 0.317 0.083 0.593 (multiplicity 1)
Ti 0.329 0.439 0.893 (multiplicity 1)
Ti 0.352 0.737 0.265 (multiplicity 1)
Ti 0.362 0.370 0.466 (multiplicity 1)
Ti 0.390 0.573 0.070 (multiplicity 1)
Ti 0.399 0.847 0.495 (multiplicity 1)
Ti 0.410 0.656 0.651 (multiplicity 1)
Ti 0.412 0.957 0.102 (multiplicity 1)
Ti 0.413 0.923 0.736 (multiplicity 1)
Ti 0.460 0.386 0.692 (multiplicity 1)
Ti 0.466 0.281 0.023 (multiplicity 1)
Ti 0.472 0.405 0.252 (multiplicity 1)
Ti 0.486 0.137 0.249 (multiplicity 1)
Ti 0.534 0.768 0.873 (multiplicity 1)
Ti 0.547 0.879 0.298 (multiplicity 1)
Ti 0.548 0.201 0.528 (multiplicity 1)
Ti 0.559 0.118 0.827 (multiplicity 1)
Ti 0.570 0.540 0.838 (multiplicity 1)
Ti 0.574 0.708 0.121 (multiplicity 1)
Ti 0.577 0.619 0.346 (multiplicity 1)
Ti 0.601 0.942 0.525 (multiplicity 1)
Ti 0.648 0.448 0.068 (multiplicity 1)
Ti 0.658 0.438 0.531 (multiplicity 1)
Ti 0.671 0.166 0.078 (multiplicity 1)
Ti 0.683 0.922 0.980 (multiplicity 1)
Ti 0.693 0.278 0.320 (multiplicity 1)
Ti 0.708 0.657 0.645 (multiplicity 1)
Ti 0.736 0.336 0.827 (multiplicity 1)
Ti 0.738 0.894 0.729 (multiplicity 1)
Ti 0.741 0.153 0.648 (multiplicity 1)
Ti 0.762 0.680 0.892 (multiplicity 1)
Ti 0.764 0.759 0.377 (multiplicity 1)
Ti 0.783 0.019 0.233 (multiplicity 1)
Ti 0.799 0.614 0.175 (multiplicity 1)
Ti 0.816 0.094 0.872 (multiplicity 1)
Ti 0.852 0.981 0.461 (multiplicity 1)
Ti 0.875 0.525 0.422 (multiplicity 1)
Ti 0.885 0.278 0.038 (multiplicity 1)
Ti 0.893 0.809 0.092 (multiplicity 1)
Ti 0.897 0.287 0.503 (multiplicity 1)
Ti 0.899 0.493 0.943 (multiplicity 1)
Ti 0.915 0.477 0.672 (multiplicity 1)
Ti 0.942 0.744 0.575 (multiplicity 1)
Ti 0.954 0.996 0.686 (multiplicity 1)
Ti 0.961 0.260 0.783 (multiplicity 1)
Ti 0.973 0.801 0.834 (multiplicity 1)
Ti 0.976 0.185 0.264 (multiplicity 1)
Ti 0.993 0.684 0.291 (multiplicity 1)
O 0.036 0.606 0.650 (multiplicity 1)
O 0.052 0.815 0.990 (multiplicity 1)
O 0.061 0.271 0.109 (multiplicity 1)
O 0.146 0.729 0.790 (multiplicity 1)
O 0.156 0.073 0.949 (multiplicity 1)
O 0.179 0.843 0.280 (multiplicity 1)
O 0.235 0.657 0.156 (multiplicity 1)
O 0.236 0.961 0.498 (multiplicity 1)
O 0.266 0.723 0.555 (multiplicity 1)
O 0.294 0.358 0.310 (multiplicity 1)
O 0.328 0.113 0.197 (multiplicity 1)
O 0.356 0.500 0.579 (multiplicity 1)
O 0.373 0.256 0.606 (multiplicity 1)
O 0.436 0.271 0.841 (multiplicity 1)
O 0.499 0.447 0.968 (multiplicity 1)
O 0.506 0.254 0.367 (multiplicity 1)
O 0.520 0.800 0.623 (multiplicity 1)
O 0.533 0.848 0.021 (multiplicity 1)
O 0.565 0.075 0.652 (multiplicity 1)
O 0.566 0.539 0.661 (multiplicity 1)
O 0.573 0.938 0.826 (multiplicity 1)
O 0.579 0.446 0.381 (multiplicity 1)
O 0.700 0.612 0.471 (multiplicity 1)
O 0.702 0.938 0.369 (multiplicity 1)
O 0.714 0.262 0.496 (multiplicity 1)
O 0.760 0.824 0.554 (multiplicity 1)
O 0.763 0.522 0.779 (multiplicity 1)
O 0.807 0.201 0.191 (multiplicity 1)
O 0.810 0.004 0.050 (multiplicity 1)
O 0.831 0.444 0.110 (multiplicity 1)
O 0.842 0.734 0.739 (multiplicity 1)
O 0.908 0.113 0.559 (multiplicity 1)
O 0.925 0.357 0.334 (multiplicity 1)
O 0.999 0.430 0.515 (multiplicity 1)

Summary:
- total magnetic moment (μB per formula unit) = 0.04

---

Verdict on stability: *B* comes out at the bottom.